(1)
The following is a DFT calculation (GGA-PBE) of a relaxed CuSeS crystal.

Structure (extended XYZ):
```
12
Lattice="5.9854 0.0000 0.0000 0.0000 5.9854 0.0000 0.0000 0.0000 5.9854" Properties=species:S:1:pos:R:3 pbc="T T T"
Cu 0.0375 0.0375 0.0375
Cu 2.9552 5.9479 3.0301
Cu 3.0301 2.9552 5.9479
Cu 5.9479 3.0301 2.9552
Se 0.6391 3.6318 5.3463
Se 2.3536 2.3536 2.3536
Se 3.6318 5.3463 0.6391
Se 5.3463 0.6391 3.6318
S 0.6430 5.3424 2.3497
S 2.3497 0.6430 5.3424
S 3.6357 3.6357 3.6357
S 5.3424 2.3497 0.6430
```

Calculated values
VASP energy in eV/atom: -3.975
Theoretical density in g cm⁻³: 5.41
Calculated formation energy in eV per formula unit: -0.7
V in A^3/atom: 17.869
Spin magnetization in μB/atom: 0.001

(2)
The following is a DFT calculation (GGA-PBE) of a relaxed Ca3PCl3 crystal.

Structure (extended XYZ):
```
7
Lattice="5.7132 0.0000 0.0000 0.0000 5.7132 0.0000 0.0000 0.0000 5.7132" Properties=species:S:1:pos:R:3 pbc="T T T"
Ca 0.0000 0.0000 2.8566
Ca 0.0000 2.8566 0.0000
Ca 2.8566 0.0000 0.0000
P 0.0000 0.0000 0.0000
Cl 0.0000 2.8566 2.8566
Cl 2.8566 0.0000 2.8566
Cl 2.8566 2.8566 0.0000
```

Calculated values
VASP energy in eV/atom: -4.435
Theoretical density in g cm⁻³: 2.29
Calculated formation energy in eV per formula unit: -15.9
V in A^3/atom: 26.640

(3)
The following is a DFT calculation (GGA-PBE) of a relaxed Na9Nb5ZnSi9O36 crystal.

Structure (extended XYZ):
```
360
Lattice="9.1051 0.0000 0.0000 -0.0024 22.5353 0.0000 -4.5420 -0.0166 23.6167" Properties=species:S:1:pos:R:3 pbc="T T T"
Na 0.0000 0.0000 0.0000
Na 7.5370 9.2099 8.1317
Na 0.0735 11.2775 0.0177
Na -2.6590 20.4240 16.0636
Na -1.0444 16.9149 7.7617
Na -1.5471 16.8293 12.9830
Na -0.0137 3.8296 5.3315
Na 0.0224 15.0308 5.3278
Na -2.8567 5.4238 20.8592
Na -2.9116 13.1532 21.4671
Na -1.0472 9.1427 13.3115
Na 1.1130 13.1748 2.5434
Na -1.5537 9.1266 17.9661
Na -1.6008 16.8425 18.5804
Na -0.0336 18.7006 10.5375
Na 0.0395 7.3944 10.5502
Na 1.5697 5.6336 3.0787
Na 1.6930 20.4513 2.4813
Na 1.1216 5.6562 7.7862
Na -1.8010 1.8835 23.3775
Na 0.0394 22.3250 15.7806
Na 0.0490 11.0309 15.7736
Na 1.6545 20.4793 8.1488
Na 3.2560 16.7067 0.0405
Na 2.7319 16.9356 5.0128
Na 1.1333 20.4234 13.3151
Na 2.9151 1.7884 5.5856
Na 0.0172 3.5957 20.9760
Na 0.0780 14.8534 20.9823
Na 1.6567 5.5707 12.9706
Na 3.2878 9.2276 5.2705
Na 2.9410 16.7490 10.8051
Na 4.5313 7.4445 2.6322
Na 1.6430 20.3964 17.9769
Na 4.6431 18.6676 2.6292
Na 1.6896 5.5785 18.5686
Na 2.7564 9.1314 16.0507
Na 5.9320 5.4594 0.0293
Na 4.5387 11.1951 7.9945
Na 4.6840 22.4524 8.0717
Na 3.2848 16.8189 15.8097
Na 1.8946 13.1482 23.3979
Na 5.8914 20.4705 5.2628
Na 2.9510 16.6831 20.8685
Na 4.5955 14.7871 13.1859
Na 3.0076 1.8917 21.4590
Na 4.6487 3.5859 13.1125
Na 6.4477 5.7099 5.0310
Na 7.4928 9.2095 2.4945
Na 4.5706 7.4244 18.4671
Na 4.6261 18.6937 18.4748
Na 7.6148 16.8640 3.0718
Na 8.0648 1.9375 2.5224
Na 5.8953 5.5814 15.8028
Nb 0.0264 19.1291 0.0321
Nb 0.0506 7.8708 0.0370
Nb 0.0166 0.3390 5.3419
Nb 0.0232 11.6291 5.3394
Nb -0.0204 4.0890 10.5490
Nb -0.0149 21.9751 10.5721
Nb 0.0648 15.3102 10.5386
Nb 0.1047 10.6934 10.5621
Nb 0.0350 3.1343 15.7724
Nb 0.0554 14.3887 15.7827
Nb 0.0390 0.3525 21.0164
Nb 0.0315 18.2315 21.0396
Nb 0.0638 6.9662 21.0376
Nb 0.0586 11.6154 21.0234
Nb 4.5604 10.7002 2.6567
Nb 4.5896 15.3649 2.6887
Nb 4.6073 4.1240 2.6800
Nb 4.6188 21.9543 2.6334
Nb 4.5814 7.8708 7.9570
Nb 4.5918 14.3643 7.9283
Nb 4.6132 19.1381 7.9489
Nb 4.6238 3.1471 7.9995
Nb 4.5893 0.4114 13.1579
Nb 4.5942 11.6570 13.1518
Nb 4.6123 6.9270 13.1413
Nb 4.6170 18.2219 13.1832
Nb 4.5727 15.3079 18.4092
Nb 4.5845 10.6679 18.4167
Nb 4.6219 4.0455 18.4030
Nb 4.6130 21.9429 18.4225
Zn 0.0253 14.5247 0.0319
Zn 0.0432 3.2717 0.0150
Zn 0.0299 7.0397 5.2866
Zn 0.0427 18.2888 5.2762
Zn 0.0367 19.0395 15.7895
Zn 0.0521 7.7672 15.7816
Si -1.2667 20.4615 7.6060
Si -1.2808 12.9958 8.2700
Si -2.5809 16.8163 15.8073
Si -1.8674 20.5768 13.1569
Si -3.1593 1.7399 20.7127
Si -3.1791 16.7173 21.3723
Si -1.2880 13.0181 12.8381
Si -1.2684 5.5645 13.5128
Si -2.6021 9.2834 21.0545
Si -1.8598 13.0021 18.3954
Si 1.3312 16.7223 2.3473
Si 1.3541 9.2316 3.0220
Si -1.2704 5.5523 18.0623
Si -1.3029 20.5449 18.7394
Si 1.9353 1.7442 2.6753
Si 2.6661 5.4670 0.0420
Si 1.3515 9.2114 7.5852
Si 1.3615 1.7475 8.2923
Si -1.2882 20.5546 23.3212
Si 3.2600 13.0470 0.3620
Si 1.9539 16.7587 7.9207
Si 2.6877 20.5024 5.2887
Si 1.3672 1.7769 12.8265
Si 1.3501 16.8293 13.5198
Si 3.2609 13.0159 4.9719
Si 3.2785 5.4810 5.6575
Si 1.9639 9.2817 13.1533
Si 2.7199 13.0281 10.5533
Si 1.3624 16.8227 18.0620
Si 1.3943 9.2790 18.7383
Si 3.2623 5.5058 10.2151
Si 3.2748 20.5552 10.8995
Si 1.9501 1.7363 18.3872
Si 2.6750 5.5499 15.8013
Si 1.3800 9.2831 23.3319
Si 5.9202 1.7829 0.3564
Si 3.2665 20.5735 15.4547
Si 3.2666 12.9943 16.1102
Si 6.5094 16.7381 0.0468
Si 2.6961 20.5521 21.0569
Si 5.9313 1.7557 4.9698
Si 5.9081 16.7622 5.6505
Si 3.2538 12.9992 20.7140
Si 3.2740 5.4530 21.3725
Si 6.4939 9.2283 5.2909
Si 7.2471 13.0086 2.7041
Si 5.9352 16.7556 10.1912
Si 5.9163 9.3020 10.8948
Si 7.8616 5.4530 2.3421
Si 7.8298 20.4924 3.0146
Si 6.4832 1.7549 10.5579
Si 7.2370 5.5165 7.9523
Si 5.9153 9.2850 15.4423
Si 5.9354 1.7280 16.1118
O -0.6581 5.6023 3.8320
O -0.5728 21.8249 3.7578
O -0.9753 21.7663 6.5875
O -0.9761 5.5025 6.6281
O -3.4935 3.0814 19.8010
O -3.4576 9.3909 19.6560
O -3.9000 18.0044 22.1297
O -1.6083 0.4665 10.3723
O -3.8611 1.7301 22.1465
O -1.6130 3.0394 10.7058
O -1.5381 16.6873 10.3526
O -1.5511 9.3662 10.7518
O -2.9027 5.3029 18.3020
O -2.9406 20.6390 18.6252
O -2.8247 11.6860 18.2140
O -0.5620 12.8633 6.8074
O -2.8390 14.3229 18.6458
O -3.5393 9.0985 22.3714
O -0.9782 11.6861 9.2057
O -0.5576 19.1451 7.0635
O -0.9101 5.4063 9.2888
O 0.6013 9.1221 1.5496
O -3.2558 15.3771 22.2331
O 0.7032 15.4046 1.6843
O -0.6222 14.3365 9.0095
O -0.5908 20.7467 9.0760
O 1.0423 1.7600 1.3628
O -1.8003 18.1600 16.1909
O -0.9509 14.3562 11.8974
O 1.0839 18.0722 1.3512
O 0.6482 10.5528 3.7417
O -0.9050 20.6429 11.8122
O -1.5996 9.2645 15.5875
O -1.5741 15.5458 15.5299
O 0.7332 16.8797 3.8289
O -1.5552 1.9087 16.0096
O -2.9030 20.3921 23.5062
O -0.6302 11.7099 12.0937
O 1.6563 6.7562 0.2855
O -0.5898 5.2890 12.0292
O 1.6759 13.0156 0.2371
O -0.9901 4.2813 14.5265
O -2.6597 4.1204 23.2463
O -0.9721 20.5309 14.4781
O 1.0523 1.6336 4.0722
O 0.6356 7.8748 7.0654
O 0.6953 1.5962 6.7831
O 1.2937 7.9044 3.9213
O -1.1993 6.8974 17.1974
O -0.5503 6.9047 14.0222
O -0.5667 13.2029 14.2987
O 1.0409 16.7834 6.6277
O 1.0741 10.5007 6.5702
O -0.9262 13.1874 17.0807
O -1.6209 7.9650 20.8191
O 0.6775 9.4930 9.0648
O 0.7178 3.0738 8.9974
O -1.6368 10.6031 21.2480
O -1.5209 1.6381 20.8358
O -1.5516 16.9830 21.1532
O 1.6305 12.8935 5.0163
O -0.5960 20.5536 17.3125
O 1.6925 5.4888 5.4973
O 1.7163 21.8377 5.5391
O -0.5393 4.2732 17.3353
O 1.8554 19.2025 4.9416
O -0.9983 12.8908 19.7961
O -0.9595 19.2070 19.6657
O 1.0619 0.4107 9.1984
O 1.0436 16.6770 9.3144
O 0.7127 0.4437 12.0856
O 0.7288 16.5771 11.9985
O -0.6333 21.7887 19.6150
O -0.6021 5.6122 19.5947
O 0.9948 9.3823 11.8124
O 0.6341 18.1695 14.0191
O 1.0552 3.0904 11.8835
O -0.9408 21.8785 22.4275
O 0.6581 1.9269 14.2930
O 2.9443 0.4378 2.5645
O -0.8396 5.7263 22.3824
O 3.0235 16.6725 2.4245
O 2.9480 3.0550 2.9237
O 2.9775 9.4957 2.8261
O 1.6308 5.4218 10.3380
O 1.6791 11.7684 10.3824
O -0.6360 19.2346 22.5816
O 1.6358 20.6188 10.7516
O 1.7432 14.3640 10.7111
O -0.5101 12.9402 22.5241
O 1.0622 9.2623 14.4778
O 3.5984 5.4094 1.4186
O 1.0914 15.5508 14.5262
O 3.7000 11.8010 1.3494
O 0.6273 15.5458 17.3307
O 0.6866 9.2891 17.3105
O 3.8902 20.6526 1.2276
O 3.9551 14.3789 1.0951
O 1.0161 1.9083 17.0800
O 3.5620 14.3299 3.9904
O 0.6933 16.8812 19.5921
O 3.0080 9.1386 7.6773
O 3.7175 20.7208 4.0088
O 0.7252 10.5237 19.6162
O 3.0008 15.5048 7.8207
O 2.9281 18.1067 8.1852
O 2.9826 1.8631 8.0496
O 1.2926 18.1623 17.1914
O 1.6610 4.2749 15.5478
O 1.6819 20.5302 15.5903
O 3.8961 11.7002 4.2356
O 1.6456 13.1875 16.0105
O 1.0519 7.9406 19.6656
O 4.0436 5.3868 4.1782
O 1.0921 1.6167 19.7946
O 3.6293 20.4411 6.6642
O 0.6040 1.6726 22.5250
O 3.6656 4.1725 6.5890
O 1.8830 6.8841 16.2098
O 0.7319 7.9642 22.5819
O 3.9449 13.1708 6.4416
O 3.9801 6.8137 6.3692
O 0.9361 17.0012 22.3782
O 1.0346 10.6059 22.4261
O 3.5810 6.7905 9.2241
O 3.6262 13.1336 9.2074
O 2.9184 7.9229 12.9596
O 5.2217 3.1054 1.1001
O 2.9858 1.6248 12.9673
O 5.2939 9.3811 1.2327
O 3.0066 10.5449 13.2790
O 3.0118 16.8939 13.3467
O 1.6155 12.9071 20.8342
O 1.6463 5.7146 21.1531
O 1.7142 19.2343 20.8177
O 3.9095 20.3981 9.3855
O 3.9052 4.1914 9.4679
O 5.4814 0.5336 1.3532
O 1.7304 21.8701 21.2499
O 3.5653 19.1993 11.8232
O 5.5776 16.6958 1.4160
O 3.6235 12.9334 11.8918
O 5.1358 16.6661 4.1821
O 5.2550 0.4513 4.2433
O 3.9070 5.6407 11.7094
O 3.9225 21.8350 11.6335
O 5.4735 9.4518 4.0066
O 5.6408 3.0632 3.9894
O 2.9195 0.4127 18.2157
O 3.6349 5.6172 14.4504
O 5.1956 1.8864 6.4166
O 5.2048 18.1177 6.3616
O 3.6714 21.8072 14.4610
O 2.9317 3.0480 18.6525
O 2.9935 16.5724 18.3019
O 3.0313 9.3724 18.6262
O 6.1634 5.3924 2.4206
O 6.2350 11.7109 2.5664
O 6.2105 20.7891 2.8296
O 3.9645 12.9010 14.6477
O 5.5084 15.5213 6.6477
O 3.9585 19.2127 14.7199
O 6.2469 14.3468 2.8772
O 5.5482 9.1746 6.6563
O 3.5999 11.6830 17.0447
O 3.7038 5.2858 17.0942
O 5.2139 15.4860 9.4993
O 5.2818 9.1297 9.3875
O 3.9115 14.3175 16.8858
O 2.7583 15.3998 23.2375
O 4.0392 20.6218 16.9144
O 5.5673 1.8546 9.2057
O 3.5519 20.6580 19.6571
O 3.5888 14.3472 19.7985
O 5.6336 18.0708 9.2199
O 5.2452 16.9265 11.6780
O 5.2696 10.6008 11.6160
O 2.9991 9.1177 23.5023
O 7.5029 1.7455 0.2372
O 7.5249 18.0315 0.2804
O 3.3428 4.1090 22.2334
O 6.1789 20.4262 7.6779
O 6.1783 4.2439 7.8283
O 3.9237 11.7594 19.8473
O 3.9572 5.4176 19.8602
O 6.2090 13.1790 8.1283
O 6.2713 6.8586 8.1338
O 5.5622 1.6500 11.8810
O 5.6098 7.9964 11.8724
O 3.6353 20.3698 22.3722
O 5.2291 1.6226 14.6474
O 5.2192 7.9352 14.7350
O 3.9561 12.9982 22.1466
O 3.9978 6.7325 22.1328
O 7.3092 7.9040 4.9368
O 5.5177 10.5386 14.4564
O 5.5566 16.8892 14.4428
O 8.0922 6.7952 1.3494
O 8.1269 13.0313 1.3646
O 5.1573 9.3663 16.9149
O 7.5632 1.6230 5.0269
O 5.2812 3.0413 16.8877
O 7.4891 16.7851 5.4970
O 7.5202 10.5091 5.5442
O 7.8795 19.1911 3.9302
O 6.2031 12.9148 12.9731
O 6.1827 21.8152 13.2825
O 6.1809 5.6379 13.4103
O 6.2765 19.2019 12.9603
O 5.4855 16.5596 17.0847
O 8.4783 4.1271 1.6869
O 5.5927 0.4092 17.0442
O 8.5867 20.4105 1.5508
O 8.1850 12.9000 4.0477
O 5.2429 16.6875 19.8577
O 5.2772 0.4900 19.8492
```

Calculated values
VASP energy in eV/atom: -7.321
ΔE to the lowest computed polymorph in eV/atom: 0.003
Theoretical density in g cm⁻³: 3.22
Calculated formation energy in eV per formula unit: -173.4
V in A^3/atom: 13.461
Spin magnetization in μB/atom: 0.000

Question: Which value of calculated formation energy does entry 3 give?
Answer: -173.4 eV per formula unit